--- w ---
{"formula": "LiFe2B2O6", "functional": "PBE with a Hubbard U", "state": "relaxed", "m_tot_mub_per_fu": 9.0, "spacegroup": "P1 (1)", "lattice_angstrom": [[5.2862, 0.0000, 0.0000], [0.0430, 9.0892, 0.0000], [0.1736, 0.1297, 10.0712]], "species": ["Li", "Li", "Li", "Li", "Fe", "Fe", "Fe", "Fe", "Fe", "Fe", "Fe", "Fe", "B", "B", "B", "B", "B", "B", "B", "B", "O", "O", "O", "O", "O", "O", "O", "O", "O", "O", "O", "O", "O", "O", "O", "O", "O", "O", "O", "O", "O", "O", "O", "O"], "fractional_positions": [[0.0000, 0.0000, 0.0000], [0.0099, 0.9743, 0.5062], [0.4930, 0.4983, 0.9859], [0.8052, 0.4791, 0.2509], [0.3119, 0.3143, 0.2199], [0.3238, 0.6545, 0.7114], [0.4917, 0.8326, 0.9672], [0.4973, 0.1525, 0.4714], [0.8120, 0.1562, 0.7181], [0.8120, 0.8220, 0.2215], [0.9929, 0.3348, 0.9586], [0.9940, 0.6354, 0.4758], [0.3182, 0.6505, 0.2154], [0.3198, 0.3217, 0.7180], [0.4878, 0.1576, 0.9676], [0.4918, 0.8233, 0.4678], [0.8170, 0.1586, 0.2120], [0.8191, 0.8159, 0.7162], [0.9845, 0.3137, 0.4608], [0.9908, 0.6599, 0.9734], [0.0627, 0.6604, 0.2528], [0.0682, 0.2997, 0.7565], [0.2330, 0.3062, 0.4133], [0.2433, 0.6583, 0.9295], [0.3489, 0.0331, 0.9682], [0.3626, 0.9518, 0.4692], [0.3764, 0.6929, 0.5124], [0.3802, 0.2908, 0.0126], [0.4240, 0.4574, 0.7246], [0.4337, 0.5144, 0.2018], [0.4595, 0.7751, 0.1859], [0.4640, 0.2010, 0.6800], [0.5753, 0.1773, 0.2607], [0.5750, 0.7946, 0.7642], [0.7436, 0.1569, 0.9238], [0.7502, 0.8181, 0.4225], [0.8478, 0.4393, 0.4462], [0.8506, 0.5343, 0.9799], [0.8810, 0.7943, 0.0154], [0.8821, 0.1828, 0.5153], [0.9131, 0.9550, 0.6996], [0.9191, 0.0222, 0.1954], [0.9544, 0.2861, 0.1777], [0.9669, 0.6950, 0.6820]]}

--- x ---
{"formula": "LiFe2B2O6", "functional": "PBE with a Hubbard U", "state": "relaxed", "m_tot_mub_per_fu": 9.0, "spacegroup": "P1 (1)", "lattice_angstrom": [[5.2401, 0.0000, 0.0000], [-0.1461, 9.1575, 0.0000], [-2.5871, -4.2088, 10.1429]], "species": ["Li", "Li", "Li", "Li", "Fe", "Fe", "Fe", "Fe", "Fe", "Fe", "Fe", "Fe", "B", "B", "B", "B", "B", "B", "B", "B", "O", "O", "O", "O", "O", "O", "O", "O", "O", "O", "O", "O", "O", "O", "O", "O", "O", "O", "O", "O", "O", "O", "O", "O"], "fractional_positions": [[0.0000, 0.0000, 0.0000], [0.0150, 0.7078, 0.7330], [0.2777, 0.9637, 0.2476], [0.5175, 0.2082, 0.7396], [0.0143, 0.6700, 0.0201], [0.0430, 0.3890, 0.7709], [0.2515, 0.5888, 0.5114], [0.2737, 0.3082, 0.2756], [0.5073, 0.1828, 0.0269], [0.5443, 0.8919, 0.7680], [0.7538, 0.0855, 0.5187], [0.7916, 0.8007, 0.2729], [0.0551, 0.0620, 0.7813], [0.2474, 0.9253, 0.5223], [0.2947, 0.6444, 0.2765], [0.5109, 0.8581, 0.0311], [0.5399, 0.5526, 0.7700], [0.7550, 0.4343, 0.5310], [0.7792, 0.1227, 0.2627], [0.9973, 0.3341, 0.0103], [0.0380, 0.1237, 0.2599], [0.1004, 0.4409, 0.9675], [0.1346, 0.7464, 0.2340], [0.1591, 0.2350, 0.0550], [0.1811, 0.5379, 0.3165], [0.2506, 0.8577, 0.0357], [0.3294, 0.0903, 0.8171], [0.3626, 0.8099, 0.5647], [0.3973, 0.0586, 0.5434], [0.4007, 0.6630, 0.7338], [0.4093, 0.4232, 0.7734], [0.4831, 0.4221, 0.4846], [0.5519, 0.6514, 0.2765], [0.6139, 0.2211, 0.2200], [0.6148, 0.9644, 0.9848], [0.6625, 0.0163, 0.3038], [0.6793, 0.7638, 0.0741], [0.7373, 0.3224, 0.0062], [0.8197, 0.5734, 0.8025], [0.8672, 0.3231, 0.5773], [0.9094, 0.1680, 0.7389], [0.9125, 0.5610, 0.5392], [0.9331, 0.9343, 0.7909], [0.9774, 0.9031, 0.4667]]}

--- y ---
{"formula": "LiFe2B2O6", "functional": "PBE with a Hubbard U", "state": "relaxed", "m_tot_mub_per_fu": 0.5, "spacegroup": "P1 (1)", "lattice_angstrom": [[5.2661, 0.0000, 0.0000], [2.5980, 4.5863, 0.0000], [0.0278, 0.3940, 20.1618]], "species": ["Li", "Li", "Li", "Li", "Fe", "Fe", "Fe", "Fe", "Fe", "Fe", "Fe", "Fe", "B", "B", "B", "B", "B", "B", "B", "B", "O", "O", "O", "O", "O", "O", "O", "O", "O", "O", "O", "O", "O", "O", "O", "O", "O", "O", "O", "O", "O", "O", "O", "O"], "fractional_positions": [[0.0000, 0.0000, 0.0000], [0.0048, 0.9929, 0.7500], [0.6785, 0.2954, 0.3688], [0.6982, 0.3211, 0.6207], [0.0120, 0.6482, 0.1334], [0.0293, 0.6551, 0.6364], [0.3316, 0.3269, 0.5098], [0.3364, 0.9688, 0.3875], [0.3504, 0.3352, 0.0113], [0.3543, 0.9842, 0.8856], [0.6669, 0.6725, 0.2608], [0.6678, 0.6432, 0.7622], [0.0087, 0.6494, 0.3863], [0.0123, 0.6531, 0.8883], [0.3331, 0.3284, 0.2624], [0.3399, 0.3189, 0.7617], [0.3415, 0.9910, 0.1357], [0.3531, 0.9844, 0.6369], [0.6732, 0.6610, 0.5130], [0.6766, 0.6573, 0.0107], [0.0488, 0.8926, 0.8925], [0.0693, 0.5432, 0.2355], [0.0831, 0.0046, 0.6449], [0.0867, 0.5760, 0.7431], [0.1140, 0.9421, 0.1282], [0.2371, 0.3808, 0.9070], [0.2654, 0.3973, 0.4089], [0.3150, 0.0741, 0.7826], [0.3224, 0.2539, 0.1167], [0.3612, 0.0619, 0.2825], [0.3705, 0.2289, 0.6137], [0.4258, 0.9130, 0.9889], [0.4508, 0.9267, 0.4900], [0.5588, 0.3809, 0.2732], [0.6068, 0.7273, 0.6534], [0.6078, 0.2999, 0.7575], [0.6102, 0.7702, 0.1618], [0.6303, 0.4262, 0.5212], [0.6927, 0.3939, 0.0107], [0.7472, 0.6825, 0.8674], [0.7723, 0.6175, 0.3642], [0.9161, 0.6867, 0.0329], [0.9425, 0.6332, 0.5294], [0.9926, 0.9135, 0.3850]]}

--- z ---
{"formula": "LiFe2B2O6", "functional": "PBE with a Hubbard U", "state": "relaxed", "m_tot_mub_per_fu": 9.0, "spacegroup": "P1 (1)", "lattice_angstrom": [[5.3232, 0.0000, 0.0000], [0.0292, 8.9907, 0.0000], [0.3457, 0.1368, 9.9809]], "species": ["Li", "Li", "Li", "Li", "Fe", "Fe", "Fe", "Fe", "Fe", "Fe", "Fe", "Fe", "B", "B", "B", "B", "B", "B", "B", "B", "O", "O", "O", "O", "O", "O", "O", "O", "O", "O", "O", "O", "O", "O", "O", "O", "O", "O", "O", "O", "O", "O", "O", "O"], "fractional_positions": [[0.0000, 0.0000, 0.0000], [0.0130, 0.0061, 0.4832], [0.3217, 0.9895, 0.7515], [0.8159, 0.4897, 0.7591], [0.0010, 0.6648, 0.5260], [0.3151, 0.3242, 0.2645], [0.3227, 0.6527, 0.7752], [0.4918, 0.8265, 0.0282], [0.5027, 0.1812, 0.5208], [0.8030, 0.8348, 0.2743], [0.8084, 0.1634, 0.7769], [0.9881, 0.3431, 0.0276], [0.3083, 0.6593, 0.2738], [0.3171, 0.3278, 0.7688], [0.4938, 0.1588, 0.0273], [0.4936, 0.8401, 0.5309], [0.8262, 0.8311, 0.7750], [0.8344, 0.1736, 0.2818], [0.9820, 0.6771, 0.0186], [0.9939, 0.3251, 0.5270], [0.0672, 0.3234, 0.8132], [0.0702, 0.6839, 0.3336], [0.2322, 0.3054, 0.4662], [0.2341, 0.6953, 0.9771], [0.3527, 0.7145, 0.5631], [0.3617, 0.0272, 0.0143], [0.3673, 0.2842, 0.0749], [0.3751, 0.9780, 0.5376], [0.4108, 0.5226, 0.2641], [0.4318, 0.1948, 0.7171], [0.4424, 0.7842, 0.2246], [0.4616, 0.4511, 0.7721], [0.5708, 0.8317, 0.8133], [0.5813, 0.1927, 0.3300], [0.7469, 0.1650, 0.9863], [0.7492, 0.8296, 0.4972], [0.8556, 0.8106, 0.0579], [0.8601, 0.1935, 0.5631], [0.8622, 0.5474, 0.0133], [0.8998, 0.4616, 0.5551], [0.9358, 0.6976, 0.7294], [0.9440, 0.0376, 0.2909], [0.9583, 0.2998, 0.2344], [0.9683, 0.9576, 0.7850]]}

Structures ranked by computed energy, the most stable listed first: y, w, x, z.

--- w ---
{"formula": "LiFe2B2O6", "functional": "PBE with a Hubbard U", "state": "relaxed", "m_tot_mub_per_fu": 9.0, "spacegroup": "Pc (7)", "lattice_angstrom": [[5.2853, 0.0000, 0.0000], [0.0000, 9.0416, 0.0000], [-4.8953, 0.0000, 10.0776]], "species": ["Li", "Li", "Li", "Li", "Fe", "Fe", "Fe", "Fe", "Fe", "Fe", "Fe", "Fe", "B", "B", "B", "B", "B", "B", "B", "B", "O", "O", "O", "O", "O", "O", "O", "O", "O", "O", "O", "O", "O", "O", "O", "O", "O", "O", "O", "O", "O", "O", "O", "O"], "fractional_positions": [[0.0000, 0.2391, 0.0000], [0.0000, 0.7609, 0.5000], [0.4378, 0.2564, 0.7427], [0.4378, 0.7436, 0.2427], [0.0241, 0.0993, 0.5154], [0.0241, 0.9007, 0.0154], [0.4529, 0.0875, 0.2778], [0.4529, 0.9125, 0.7778], [0.5295, 0.4212, 0.0244], [0.5295, 0.5788, 0.5244], [0.9620, 0.4175, 0.7699], [0.9620, 0.5825, 0.2699], [0.0489, 0.4261, 0.5297], [0.0489, 0.5739, 0.0297], [0.4578, 0.4157, 0.2740], [0.4578, 0.5843, 0.7740], [0.5214, 0.0872, 0.0193], [0.5214, 0.9128, 0.5193], [0.9483, 0.0794, 0.7749], [0.9483, 0.9206, 0.2749], [0.1288, 0.4434, 0.9866], [0.1288, 0.5566, 0.4866], [0.1720, 0.0737, 0.7391], [0.1720, 0.9263, 0.2391], [0.1943, 0.2974, 0.5486], [0.1943, 0.7026, 0.0486], [0.3123, 0.0809, 0.0649], [0.3123, 0.9191, 0.5649], [0.3339, 0.2841, 0.2748], [0.3339, 0.7159, 0.7748], [0.3872, 0.4539, 0.8222], [0.3872, 0.5461, 0.3222], [0.6092, 0.0392, 0.4771], [0.6092, 0.9608, 0.9771], [0.6389, 0.2218, 0.0107], [0.6389, 0.7782, 0.5107], [0.6467, 0.4303, 0.2197], [0.6467, 0.5697, 0.7197], [0.8241, 0.4357, 0.5614], [0.8241, 0.5643, 0.0614], [0.8396, 0.0509, 0.3005], [0.8396, 0.9491, 0.8005], [0.8427, 0.2136, 0.7904], [0.8427, 0.7864, 0.2904]]}

--- x ---
{"formula": "LiFe2B2O6", "functional": "PBE with a Hubbard U", "state": "relaxed", "m_tot_mub_per_fu": 9.0, "spacegroup": "P1 (1)", "lattice_angstrom": [[5.2808, 0.0000, 0.0000], [0.0600, 9.0340, 0.0000], [2.3674, 4.4264, 10.1051]], "species": ["Li", "Li", "Li", "Li", "Fe", "Fe", "Fe", "Fe", "Fe", "Fe", "Fe", "Fe", "B", "B", "B", "B", "B", "B", "B", "B", "O", "O", "O", "O", "O", "O", "O", "O", "O", "O", "O", "O", "O", "O", "O", "O", "O", "O", "O", "O", "O", "O", "O", "O"], "fractional_positions": [[0.0000, 0.0000, 0.0000], [0.1826, 0.8629, 0.2588], [0.4370, 0.1378, 0.7507], [0.7506, 0.7462, 0.5187], [0.0067, 0.3543, 0.9705], [0.2032, 0.5416, 0.2405], [0.2634, 0.9389, 0.4773], [0.4535, 0.4838, 0.7341], [0.5139, 0.8314, 0.9891], [0.6934, 0.0598, 0.2235], [0.7490, 0.4168, 0.4806], [0.9489, 0.9604, 0.7354], [0.0131, 0.6785, 0.9823], [0.1949, 0.2181, 0.2277], [0.2643, 0.6050, 0.4744], [0.4742, 0.8175, 0.7233], [0.4963, 0.1842, 0.9723], [0.7189, 0.7215, 0.2282], [0.7412, 0.0830, 0.4850], [0.9433, 0.2940, 0.7369], [0.0609, 0.4019, 0.7727], [0.0660, 0.1527, 0.7447], [0.1386, 0.7483, 0.4615], [0.1510, 0.4964, 0.4378], [0.2193, 0.6662, 0.0432], [0.2434, 0.8543, 0.6781], [0.2910, 0.0619, 0.2801], [0.3040, 0.3419, 0.2438], [0.3757, 0.0524, 0.9692], [0.3830, 0.3306, 0.9410], [0.4694, 0.7293, 0.1989], [0.4957, 0.5845, 0.5148], [0.5649, 0.9208, 0.7752], [0.6086, 0.6968, 0.7082], [0.6179, 0.2113, 0.4877], [0.6437, 0.9727, 0.4403], [0.7092, 0.3183, 0.6982], [0.7383, 0.1738, 0.0086], [0.8288, 0.5761, 0.2707], [0.8538, 0.8639, 0.2071], [0.9067, 0.5559, 0.9649], [0.9139, 0.8342, 0.9338], [0.9662, 0.0402, 0.5354], [0.9912, 0.2304, 0.1667]]}

Structures ranked by computed energy, the most stable listed first: w, x.